Entry 1:
Material: Ba2SrCrO6
Method: DFT, PBE with a Hubbard U
State: optimized geometry

Calculated values
DFT formation energy: -2.5199 eV/atom
V: 154 Å³/f.u.
corrected total energy (MP2020 scheme): -70.1 eV for the cell shown

```
data_Ba2SrCrO6
_chemical_formula_sum 'Ba2 Sr1 Cr1 O6'
_symmetry_space_group_name_H-M 'P 1'
_symmetry_Int_Tables_number 1
_cell_length_a 6.016
_cell_length_b 6.016
_cell_length_c 6.016
_cell_angle_alpha 60.00
_cell_angle_beta 60.00
_cell_angle_gamma 60.00
loop_
_symmetry_equiv_pos_as_xyz
'x,y,z'
loop_
_atom_site_label
_atom_site_fract_x
_atom_site_fract_y
_atom_site_fract_z
_atom_site_occupancy
O1 0.782 0.782 0.218 1
O2 0.218 0.782 0.218 1
Sr1 0.500 0.500 0.500 1
Cr1 0.000 0.000 0.000 1
Ba1 0.750 0.750 0.750 1
O3 0.782 0.218 0.218 1
O4 0.218 0.218 0.782 1
O5 0.782 0.218 0.782 1
O6 0.218 0.782 0.782 1
Ba2 0.250 0.250 0.250 1
```

=====

Entry 2:
Material: Ba2SrCrO6
Method: DFT, PBE with a Hubbard U
State: optimized geometry

Calculated values
DFT formation energy: -2.5148 eV/atom
V: 155 Å³/f.u.
corrected total energy (MP2020 scheme): -280.1 eV for the cell shown

```
data_Ba2SrCrO6
_chemical_formula_sum 'Ba8 Sr4 Cr4 O24'
_symmetry_space_group_name_H-M 'P 1'
_symmetry_Int_Tables_number 1
_cell_length_a 8.524
_cell_length_b 8.524
_cell_length_c 8.524
_cell_angle_alpha 90.00
_cell_angle_beta 90.00
_cell_angle_gamma 90.00
loop_
_symmetry_equiv_pos_as_xyz
'x,y,z'
loop_
_atom_site_label
_atom_site_fract_x
_atom_site_fract_y
_atom_site_fract_z
_atom_site_occupancy
O1 0.728 0.225 0.034 1
O2 0.228 0.275 0.534 1
Ba1 0.500 0.000 0.000 1
O3 0.034 0.728 0.225 1
O4 0.725 0.466 0.228 1
Sr1 0.250 0.750 0.750 1
Ba2 0.500 0.000 0.500 1
O5 0.966 0.728 0.775 1
O6 0.228 0.725 0.466 1
Sr2 0.750 0.250 0.750 1
Sr3 0.750 0.750 0.250 1
O7 0.034 0.272 0.775 1
O8 0.728 0.775 0.966 1
Ba3 0.500 0.500 0.000 1
O9 0.466 0.772 0.275 1
O10 0.772 0.725 0.534 1
Ba4 0.000 0.500 0.000 1
O11 0.225 0.966 0.272 1
O12 0.272 0.775 0.034 1
Ba5 0.500 0.500 0.500 1
O13 0.966 0.272 0.225 1
O14 0.534 0.228 0.275 1
O15 0.772 0.275 0.466 1
O16 0.466 0.228 0.725 1
O17 0.775 0.966 0.728 1
Cr1 0.750 0.750 0.750 1
O18 0.725 0.534 0.772 1
Cr2 0.250 0.250 0.750 1
Cr3 0.750 0.250 0.250 1
Ba6 0.000 0.500 0.500 1
O19 0.225 0.034 0.728 1
Ba7 0.000 0.000 0.500 1
O20 0.534 0.772 0.725 1
O21 0.272 0.225 0.966 1
O22 0.275 0.534 0.228 1
Sr4 0.250 0.250 0.250 1
O23 0.775 0.034 0.272 1
Cr4 0.250 0.750 0.250 1
Ba8 0.000 0.000 0.000 1
O24 0.275 0.466 0.772 1
```

=====

Entry 3:
Material: BaSrCr4O12
Method: DFT, PBE with a Hubbard U
State: optimized geometry

Calculated values
DFT formation energy: -1.9024 eV/atom
V: 226 Å³/f.u.
corrected total energy (MP2020 scheme): -135.8 eV for the cell shown

```
data_BaSrCr4O12
_chemical_formula_sum 'Ba1 Sr1 Cr4 O12'
_symmetry_space_group_name_H-M 'P 1'
_symmetry_Int_Tables_number 1
_cell_length_a 5.420
_cell_length_b 5.420
_cell_length_c 7.684
_cell_angle_alpha 90.00
_cell_angle_beta 90.00
_cell_angle_gamma 90.00
loop_
_symmetry_equiv_pos_as_xyz
'x,y,z'
loop_
_atom_site_label
_atom_site_fract_x
_atom_site_fract_y
_atom_site_fract_z
_atom_site_occupancy
Cr1 0.500 0.000 0.751 1
Ba1 0.500 0.500 0.500 1
O1 0.753 0.753 0.753 1
Cr2 0.000 0.500 0.249 1
O2 0.500 0.000 0.000 1
O3 0.247 0.753 0.753 1
O4 0.247 0.753 0.247 1
O5 0.247 0.247 0.247 1
O6 0.753 0.753 0.247 1
O7 0.753 0.247 0.753 1
Cr3 0.000 0.500 0.751 1
O8 0.000 0.500 0.000 1
O9 0.500 0.000 0.500 1
O10 0.000 0.500 0.500 1
O11 0.753 0.247 0.247 1
Cr4 0.500 0.000 0.249 1
O12 0.247 0.247 0.753 1
Sr1 0.000 0.000 0.000 1
```

=====

Entry 4:
Material: BaSrYCrO6
Method: DFT, PBE with a Hubbard U
State: optimized geometry

Calculated values
DFT formation energy: -2.8632 eV/atom
V: 141 Å³/f.u.
corrected total energy (MP2020 scheme): -78.0 eV for the cell shown

```
data_BaSrYCrO6
_chemical_formula_sum 'Ba1 Sr1 Y1 Cr1 O6'
_symmetry_space_group_name_H-M 'P 1'
_symmetry_Int_Tables_number 1
_cell_length_a 5.846
_cell_length_b 5.846
_cell_length_c 5.846
_cell_angle_alpha 60.00
_cell_angle_beta 60.00
_cell_angle_gamma 60.00
loop_
_symmetry_equiv_pos_as_xyz
'x,y,z'
loop_
_atom_site_label
_atom_site_fract_x
_atom_site_fract_y
_atom_site_fract_z
_atom_site_occupancy
O1 0.769 0.231 0.769 1
O2 0.231 0.769 0.769 1
O3 0.769 0.231 0.231 1
Ba1 0.750 0.750 0.750 1
Sr1 0.250 0.250 0.250 1
Y1 0.500 0.500 0.500 1
O4 0.231 0.769 0.231 1
O5 0.231 0.231 0.769 1
Cr1 0.000 0.000 0.000 1
O6 0.769 0.769 0.231 1
```

=====

Entry 5:
Material: Ba2TaCrO6
Method: DFT, PBE with a Hubbard U
State: optimized geometry

Calculated values
DFT formation energy: -3.1688 eV/atom
V: 140 Å³/f.u.
corrected total energy (MP2020 scheme): -346.9 eV for the cell shown

```
data_Ba2TaCrO6
_chemical_formula_sum 'Ba8 Ta4 Cr4 O24'
_symmetry_space_group_name_H-M 'P 1'
_symmetry_Int_Tables_number 1
_cell_length_a 5.819
_cell_length_b 5.819
_cell_length_c 19.146
_cell_angle_alpha 90.00
_cell_angle_beta 90.00
_cell_angle_gamma 120.00
loop_
_symmetry_equiv_pos_as_xyz
'x,y,z'
loop_
_atom_site_label
_atom_site_fract_x
_atom_site_fract_y
_atom_site_fract_z
_atom_site_occupancy
O1 0.829 0.659 0.380 1
Cr1 0.000 0.000 0.181 1
O2 0.829 0.171 0.380 1
Ba1 0.000 0.000 0.500 1
O3 0.500 0.500 0.000 1
Ba2 0.333 0.667 0.358 1
O4 0.850 0.699 0.750 1
O5 0.171 0.341 0.620 1
Cr2 0.000 0.000 0.819 1
Ta1 0.667 0.333 0.437 1
Ba3 0.667 0.333 0.642 1
O6 0.659 0.829 0.620 1
O7 0.829 0.171 0.120 1
Cr3 0.000 0.000 0.681 1
O8 0.341 0.171 0.380 1
Cr4 0.000 0.000 0.319 1
O9 0.659 0.829 0.880 1
O10 0.500 0.000 0.500 1
O11 0.150 0.301 0.250 1
Ta2 0.333 0.667 0.563 1
O12 0.500 0.500 0.500 1
O13 0.341 0.171 0.120 1
Ba4 0.333 0.667 0.750 1
O14 0.500 0.000 0.000 1
Ta3 0.333 0.667 0.937 1
O15 0.301 0.150 0.750 1
O16 0.171 0.341 0.880 1
Ba5 0.667 0.333 0.250 1
O17 0.000 0.500 0.500 1
Ba6 0.667 0.333 0.858 1
O18 0.699 0.850 0.250 1
Ba7 0.000 0.000 0.000 1
O19 0.171 0.829 0.880 1
O20 0.850 0.150 0.750 1
O21 0.171 0.829 0.620 1
O22 0.829 0.659 0.120 1
Ta4 0.667 0.333 0.063 1
Ba8 0.333 0.667 0.142 1
O23 0.000 0.500 0.000 1
O24 0.150 0.850 0.250 1
```

=====

Entry 6:
Material: Ba2Ti4Cr2O13
Method: DFT, PBE with a Hubbard U
State: optimized geometry

Calculated values
DFT formation energy: -3.2473 eV/atom
V: 274 Å³/f.u.
corrected total energy (MP2020 scheme): -374.5 eV for the cell shown

```
data_Ba2Ti4Cr2O13
_chemical_formula_sum 'Ba4 Ti8 Cr4 O26'
_symmetry_space_group_name_H-M 'P 1'
_symmetry_Int_Tables_number 1
_cell_length_a 7.847
_cell_length_b 7.901
_cell_length_c 10.048
_cell_angle_alpha 66.85
_cell_angle_beta 103.14
_cell_angle_gamma 104.58
loop_
_symmetry_equiv_pos_as_xyz
'x,y,z'
loop_
_atom_site_label
_atom_site_fract_x
_atom_site_fract_y
_atom_site_fract_z
_atom_site_occupancy
O1 0.136 0.882 0.305 1
O2 0.263 0.758 0.115 1
O3 0.864 0.618 0.695 1
Ti1 0.332 0.864 0.437 1
O4 0.398 0.135 0.428 1
O5 0.662 0.875 0.082 1
Cr1 0.490 0.243 0.760 1
Cr2 0.510 0.257 0.240 1
Ti2 0.668 0.136 0.563 1
O6 0.473 0.997 0.242 1
O7 0.260 0.756 0.618 1
Ti3 0.668 0.636 0.563 1
O8 0.527 0.003 0.758 1
O9 0.662 0.375 0.082 1
Ba1 0.104 0.390 0.772 1
Ti4 0.332 0.364 0.437 1
O10 0.737 0.742 0.885 1
O11 0.864 0.118 0.695 1
O12 0.000 0.000 0.000 1
O13 0.473 0.497 0.242 1
Ba2 0.896 0.610 0.228 1
O14 0.136 0.382 0.305 1
Ti5 0.248 0.018 0.087 1
Ti6 0.752 0.482 0.913 1
Ba3 0.896 0.110 0.228 1
O15 0.602 0.865 0.572 1
O16 0.527 0.503 0.758 1
O17 0.338 0.625 0.918 1
Cr3 0.490 0.743 0.760 1
O18 0.740 0.244 0.382 1
O19 0.000 0.500 0.000 1
O20 0.398 0.635 0.428 1
Cr4 0.510 0.757 0.240 1
O21 0.338 0.125 0.918 1
Ti7 0.752 0.982 0.913 1
O22 0.737 0.242 0.885 1
Ba4 0.104 0.890 0.772 1
O23 0.260 0.256 0.618 1
O24 0.740 0.744 0.382 1
O25 0.602 0.365 0.572 1
Ti8 0.248 0.518 0.087 1
O26 0.263 0.258 0.115 1
```

=====

Entry 7:
Material: Ba2Tl2Cr3O10
Method: DFT, PBE with a Hubbard U
State: optimized geometry

Calculated values
DFT formation energy: -1.7639 eV/atom
V: 282 Å³/f.u.
corrected total energy (MP2020 scheme): -117.0 eV for the cell shown

```
data_Ba2Tl2Cr3O10
_chemical_formula_sum 'Ba2 Tl2 Cr3 O10'
_symmetry_space_group_name_H-M 'P 1'
_symmetry_Int_Tables_number 1
_cell_length_a 3.761
_cell_length_b 3.762
_cell_length_c 20.028
_cell_angle_alpha 93.03
_cell_angle_beta 94.51
_cell_angle_gamma 89.99
loop_
_symmetry_equiv_pos_as_xyz
'x,y,z'
loop_
_atom_site_label
_atom_site_fract_x
_atom_site_fract_y
_atom_site_fract_z
_atom_site_occupancy
Tl1 0.658 0.725 0.439 1
O1 0.070 0.642 0.194 1
O2 0.787 0.761 0.545 1
O3 0.844 0.349 0.819 1
O4 0.563 0.139 0.179 1
O5 0.634 0.688 0.335 1
Cr1 0.562 0.637 0.173 1
Ba1 0.110 0.171 0.287 1
Ba2 0.799 0.818 0.713 1
O6 0.248 0.232 0.454 1
O7 0.281 0.303 0.664 1
O8 0.398 0.031 0.996 1
Cr2 0.397 0.532 0.999 1
Cr3 0.348 0.349 0.828 1
O9 0.339 0.844 0.806 1
Tl2 0.212 0.267 0.560 1
O10 0.899 0.532 0.003 1
```

=====

Entry 8:
Material: Ba2Tl2Zn2Cr3O10
Method: DFT, PBE with a Hubbard U
State: optimized geometry

Calculated values
DFT formation energy: -1.8921 eV/atom
V: 294 Å³/f.u.
corrected total energy (MP2020 scheme): -125.5 eV for the cell shown

```
data_Ba2Tl2Zn2Cr3O10
_chemical_formula_sum 'Ba2 Tl2 Zn2 Cr3 O10'
_symmetry_space_group_name_H-M 'P 1'
_symmetry_Int_Tables_number 1
_cell_length_a 3.890
_cell_length_b 3.902
_cell_length_c 19.397
_cell_angle_alpha 89.87
_cell_angle_beta 88.94
_cell_angle_gamma 89.64
loop_
_symmetry_equiv_pos_as_xyz
'x,y,z'
loop_
_atom_site_label
_atom_site_fract_x
_atom_site_fract_y
_atom_site_fract_z
_atom_site_occupancy
Zn1 0.187 0.804 0.887 1
O1 0.372 0.148 0.158 1
O2 0.216 0.656 0.569 1
Tl1 0.743 0.253 0.559 1
O3 0.872 0.653 0.162 1
O4 0.201 0.306 0.843 1
Zn2 0.876 0.139 0.115 1
Ba1 0.207 0.808 0.703 1
O5 0.359 0.776 0.981 1
Ba2 0.845 0.152 0.300 1
O6 0.783 0.329 0.433 1
O7 0.712 0.809 0.838 1
Tl2 0.272 0.719 0.444 1
Cr1 0.375 0.280 0.999 1
Cr2 0.370 0.648 0.181 1
O8 0.355 0.645 0.280 1
O9 0.868 0.265 0.017 1
Cr3 0.702 0.308 0.820 1
O10 0.702 0.312 0.721 1
```

=====

Entry 9:
Material: Ba2UCrO6
Method: DFT, PBE with a Hubbard U
State: optimized geometry

Calculated values
DFT formation energy: -3.2825 eV/atom
V: 149 Å³/f.u.
corrected total energy (MP2020 scheme): -87.3 eV for the cell shown

```
data_Ba2UCrO6
_chemical_formula_sum 'Ba2 U1 Cr1 O6'
_symmetry_space_group_name_H-M 'P 1'
_symmetry_Int_Tables_number 1
_cell_length_a 5.953
_cell_length_b 5.953
_cell_length_c 5.953
_cell_angle_alpha 60.00
_cell_angle_beta 60.00
_cell_angle_gamma 60.00
loop_
_symmetry_equiv_pos_as_xyz
'x,y,z'
loop_
_atom_site_label
_atom_site_fract_x
_atom_site_fract_y
_atom_site_fract_z
_atom_site_occupancy
U1 0.000 0.000 0.000 1
Ba1 0.750 0.750 0.750 1
O1 0.256 0.256 0.744 1
O2 0.744 0.744 0.256 1
Cr1 0.500 0.500 0.500 1
O3 0.744 0.256 0.256 1
O4 0.256 0.744 0.744 1
Ba2 0.250 0.250 0.250 1
O5 0.256 0.744 0.256 1
O6 0.744 0.256 0.744 1
```

=====

Entry 10:
Material: Ba3Cr2WO9
Method: DFT, PBE with a Hubbard U
State: optimized geometry

Calculated values
DFT formation energy: -2.7681 eV/atom
V: 209 Å³/f.u.
corrected total energy (MP2020 scheme): -248.1 eV for the cell shown

```
data_Ba3Cr2WO9
_chemical_formula_sum 'Ba6 Cr4 W2 O18'
_symmetry_space_group_name_H-M 'P 1'
_symmetry_Int_Tables_number 1
_cell_length_a 5.808
_cell_length_b 14.297
_cell_length_c 5.808
_cell_angle_alpha 90.00
_cell_angle_beta 120.00
_cell_angle_gamma 90.00
loop_
_symmetry_equiv_pos_as_xyz
'x,y,z'
loop_
_atom_site_label
_atom_site_fract_x
_atom_site_fract_y
_atom_site_fract_z
_atom_site_occupancy
O1 0.969 0.750 0.483 1
O2 0.161 0.078 0.321 1
Ba1 0.333 0.604 0.667 1
O3 0.483 0.250 0.969 1
Ba2 0.667 0.104 0.333 1
O4 0.840 0.922 0.679 1
Ba3 0.000 0.750 0.000 1
O5 0.485 0.250 0.517 1
O6 0.840 0.578 0.679 1
O7 0.679 0.078 0.840 1
O8 0.839 0.922 0.160 1
Cr1 0.667 0.840 0.333 1
Ba4 0.333 0.896 0.667 1
Cr2 0.667 0.660 0.333 1
O9 0.679 0.422 0.840 1
Ba5 0.000 0.250 0.000 1
O10 0.031 0.250 0.515 1
Ba6 0.667 0.396 0.333 1
Cr3 0.333 0.340 0.667 1
O11 0.515 0.750 0.031 1
O12 0.839 0.578 0.160 1
W1 0.000 0.000 0.000 1
O13 0.160 0.078 0.839 1
W2 0.000 0.500 0.000 1
Cr4 0.333 0.160 0.667 1
O14 0.160 0.422 0.839 1
O15 0.517 0.750 0.485 1
O16 0.321 0.922 0.161 1
O17 0.161 0.422 0.321 1
O18 0.321 0.578 0.161 1
```

=====

Entry 11:
Material: BaYCr4O7
Method: DFT, PBE with a Hubbard U
State: optimized geometry

Calculated values
DFT formation energy: -2.3009 eV/atom
V: 195 Å³/f.u.
corrected total energy (MP2020 scheme): -223.1 eV for the cell shown

```
data_BaYCr4O7
_chemical_formula_sum 'Ba2 Y2 Cr8 O14'
_symmetry_space_group_name_H-M 'P 1'
_symmetry_Int_Tables_number 1
_cell_length_a 6.363
_cell_length_b 6.363
_cell_length_c 11.101
_cell_angle_alpha 90.00
_cell_angle_beta 90.00
_cell_angle_gamma 120.00
loop_
_symmetry_equiv_pos_as_xyz
'x,y,z'
loop_
_atom_site_label
_atom_site_fract_x
_atom_site_fract_y
_atom_site_fract_z
_atom_site_occupancy
Cr1 0.823 0.177 0.183 1
O1 0.000 0.000 0.738 1
Cr2 0.000 0.000 0.933 1
O2 0.321 0.161 0.005 1
Ba1 0.667 0.333 0.472 1
Cr3 0.646 0.823 0.683 1
O3 0.679 0.839 0.505 1
Ba2 0.333 0.667 0.972 1
Cr4 0.177 0.823 0.683 1
Y1 0.333 0.667 0.380 1
Cr5 0.000 0.000 0.433 1
O4 0.488 0.977 0.783 1
O5 0.161 0.321 0.505 1
Cr6 0.177 0.354 0.683 1
O6 0.488 0.512 0.783 1
Cr7 0.354 0.177 0.183 1
Y2 0.667 0.333 0.880 1
O7 0.023 0.512 0.783 1
O8 0.977 0.488 0.283 1
O9 0.512 0.488 0.283 1
O10 0.839 0.679 0.005 1
O11 0.000 0.000 0.238 1
O12 0.512 0.023 0.283 1
O13 0.839 0.161 0.005 1
O14 0.161 0.839 0.505 1
Cr8 0.823 0.646 0.183 1
```

=====

Entry 12:
Material: BaZnCr4O8
Method: DFT, PBE with a Hubbard U
State: optimized geometry

Calculated values
DFT formation energy: -1.9767 eV/atom
V: 187 Å³/f.u.
corrected total energy (MP2020 scheme): -109.0 eV for the cell shown

```
data_BaZnCr4O8
_chemical_formula_sum 'Ba1 Zn1 Cr4 O8'
_symmetry_space_group_name_H-M 'P 1'
_symmetry_Int_Tables_number 1
_cell_length_a 5.419
_cell_length_b 5.419
_cell_length_c 7.348
_cell_angle_alpha 90.00
_cell_angle_beta 90.00
_cell_angle_gamma 120.00
loop_
_symmetry_equiv_pos_as_xyz
'x,y,z'
loop_
_atom_site_label
_atom_site_fract_x
_atom_site_fract_y
_atom_site_fract_z
_atom_site_occupancy
Cr1 0.333 0.667 0.258 1
Cr2 0.667 0.333 0.742 1
Zn1 0.000 0.000 0.500 1
O1 0.314 0.314 0.679 1
Ba1 0.000 0.000 0.000 1
O2 0.333 0.667 0.000 1
O3 0.667 0.333 0.000 1
Cr3 0.667 0.333 0.258 1
O4 0.686 0.000 0.679 1
O5 0.000 0.686 0.679 1
O6 0.686 0.686 0.321 1
Cr4 0.333 0.667 0.742 1
O7 0.314 0.000 0.321 1
O8 0.000 0.314 0.321 1
```